Here is a geometry-optimized Mg2MnV3S8 structure from Materials Project. Energies are from PBE.

Results
- space group = C2/m
- energy of formation (meV/atom) = -1223
- E_tot (hartree per atom) = -0.2252

Unit cell a=7.2290 b=7.2843 c=7.2310 alpha=60.27 beta=59.94 gamma=60.23
Atoms (fractional coordinates):
1 S 0.7384 0.7368 0.2866
2 S 0.7382 0.7370 0.7384
3 S 0.2863 0.7371 0.7386
4 S 0.2616 0.2632 0.7134
5 S 0.7385 0.2853 0.7380
6 S 0.7137 0.2629 0.2615
7 S 0.2614 0.7148 0.2620
8 S 0.2618 0.2630 0.2616
9 V 0.5000 0.5000 0.5000
10 V 0.0000 0.5000 0.5000
11 V 0.5000 0.5000 0.0000
12 Mg 0.1256 0.1232 0.1257
13 Mg 0.8744 0.8768 0.8743
14 Mn 0.5000 0.0000 0.5000